[1]
A plane-wave DFT calculation with PBE-GGA was carried out for an optimized crystal structure of Sr7CaTi8O20.

Cell lengths 11.2575, 11.2326, 17.6256 Å; angles 108.55, 108.79, 90.06 degrees
Closest atoms and distances in Å follow each position.
Atoms (fractional coordinates):
O  0.8098  0.7948  0.1312  2 Ti 1.89-2.05
O  0.6724  0.1996  0.3693  2 Ti 1.93-2.09
O  0.8723  0.6234  0.9950  2 Ti 1.99-2.00
O  0.9774  0.5116  0.2471  2 Ti 1.90-1.91
O  0.9320  0.4134  0.3680  2 Ti 1.91-2.08
O  0.6245  0.8774  0.5049  2 Ti 2.00
O  0.3685  0.6200  0.9927  2 Ti 2.00-2.01
O  0.1254  0.8775  0.5063  2 Ti 1.99-2.00
O  0.1817  0.7059  0.8729  2 Ti 1.95-2.00
O  0.3711  0.1240  0.4969  2 Ti 1.98
O  0.9973  0.0024  0.7551  2 Ti 1.90-1.95
O  0.8683  0.1212  0.4930  2 Ti 1.99
O  0.0580  0.0758  0.6290  2 Ti 1.93-2.03
O  0.9395  0.9259  0.3679  2 Ti 1.92-2.08
O  0.8715  0.1189  0.9960  2 Ti 1.99-2.00
O  0.3753  0.8782  0.5052  2 Ti 1.99-2.00
O  0.1814  0.7026  0.3689  2 Ti 1.92-2.08
O  0.1339  0.3844  0.0145  2 Ti 1.99
O  0.6200  0.1228  0.4959  2 Ti 1.97
O  0.1190  0.6204  0.4926  2 Ti 1.99
O  0.4961  0.0028  0.7537  2 Ti 1.90-1.96
O  0.2465  0.0026  0.7522  2 Ti 1.90-1.95
O  0.4289  0.9277  0.3672  2 Ti 1.93-2.12
O  0.8120  0.2839  0.1322  2 Ti 1.90-2.11
O  0.1815  0.1886  0.3648  1 Ti 1.92
O  0.2238  0.4795  0.2500  2 Ti 1.89-1.93
O  0.8739  0.3764  0.5047  2 Ti 1.99-2.00
O  0.8812  0.3796  0.0128  2 Ti 1.99
O  0.0653  0.5946  0.1317  2 Ti 1.90-2.08
O  0.5627  0.0774  0.6298  2 Ti 1.92-2.02
O  0.9339  0.9154  0.8740  2 Ti 1.96-2.02
O  0.6199  0.6210  0.9925  2 Ti 2.00-2.01
O  0.7170  0.9846  0.2519  2 Ti 1.90-1.91
O  0.4459  0.0338  0.2395  2 Ti 1.92-1.96
O  0.5643  0.0860  0.1296  2 Ti 1.91-2.05
O  0.3118  0.7855  0.1304  2 Ti 1.90-2.09
O  0.6253  0.3788  0.5074  2 Ti 1.99-2.00
O  0.4324  0.9162  0.8725  2 Ti 1.94-2.01
O  0.1854  0.2059  0.8737  2 Ti 1.96-1.99
O  0.1940  0.9500  0.2408  2 Ti 1.91-1.95
O  0.3782  0.3807  0.0121  2 Ti 1.97-2.00
O  0.8689  0.6207  0.4922  2 Ti 1.99
O  0.8155  0.8026  0.6294  2 Ti 1.93-2.04
O  0.9471  0.0393  0.2394  2 Ti 1.87-2.00
O  0.7452  0.4979  0.7525  2 Ti 1.90-1.96
O  0.0591  0.5776  0.6286  2 Ti 1.93-2.03
O  0.3164  0.2839  0.1341  1 Ti 1.89
O  0.3701  0.1208  0.9939  2 Ti 2.00
O  0.6207  0.1198  0.9921  2 Ti 1.99-2.00
O  0.3114  0.3040  0.6293  2 Ti 1.93-2.01
O  0.8114  0.3000  0.6299  2 Ti 1.92-2.03
O  0.1246  0.3762  0.5041  2 Ti 1.99
O  0.7294  0.4900  0.2481  2 Ti 1.92
O  0.3726  0.3760  0.5016  2 Ti 1.99
O  0.3788  0.8812  0.0121  2 Ti 1.98-2.00
O  0.6866  0.7060  0.8736  2 Ti 1.95-2.02
O  0.4533  0.5361  0.2394  2 Ti 1.90-1.93
O  0.4960  0.5062  0.7552  2 Ti 1.90-1.95
O  0.1202  0.6221  0.9938  2 Ti 2.00
O  0.2457  0.5002  0.7523  2 Ti 1.90-1.96
O  0.6208  0.6232  0.4976  2 Ti 1.98
O  0.9331  0.4172  0.8738  2 Ti 1.95-2.01
O  0.1324  0.8815  0.0137  2 Ti 1.98
O  0.8726  0.8748  0.5003  2 Ti 2.00
O  0.6891  0.2036  0.8733  2 Ti 1.94-2.00
O  0.3128  0.8002  0.6292  2 Ti 1.93-2.03
O  0.5564  0.5767  0.6295  2 Ti 1.93-2.02
O  0.5604  0.5806  0.1275  2 Ti 1.93-2.02
O  0.6320  0.8824  0.0102  2 Ti 1.99
O  0.6290  0.3779  0.0084  2 Ti 1.99-2.00
O  0.6719  0.6926  0.3696  2 Ti 1.92-2.05
O  0.1215  0.1206  0.9929  2 Ti 2.00
O  0.4378  0.4196  0.3660  2 Ti 1.91-2.13
O  0.3686  0.6212  0.4922  2 Ti 1.99
O  0.7464  0.9998  0.7525  2 Ti 1.90-1.95
O  0.8847  0.8818  0.0170  2 Ti 1.99
O  0.1211  0.1233  0.4967  2 Ti 1.98
O  0.4297  0.4150  0.8723  2 Ti 1.93-2.02
O  0.9951  0.5048  0.7531  2 Ti 1.90-1.95
O  0.0758  0.0901  0.1327  2 Ti 1.88-2.08
Sr  0.9393  0.6959  0.3833  8 O 2.65-2.94
Sr  0.3074  0.0595  0.6198  10 O 2.67-2.97
Sr  0.5568  0.8089  0.6189  10 O 2.67-2.96
Sr  0.1864  0.4405  0.8805  9 O 2.60-2.87
Sr  0.6917  0.4406  0.3869  8 O 2.59-2.84
Sr  0.8064  0.5594  0.6191  9 O 2.65-2.92
Sr  0.8070  0.0575  0.6182  10 O 2.66-2.93
Sr  0.0557  0.8089  0.6179  10 O 2.65-2.95
Sr  0.5562  0.3106  0.6205  10 O 2.67-2.94
Sr  0.6884  0.9395  0.8804  8 O 2.59-2.85
Sr  0.9358  0.6877  0.8797  7 O 2.59-2.83
Sr  0.1924  0.9400  0.3879  8 O 2.58-2.80
Sr  0.4380  0.6900  0.8815  9 O 2.60-2.88
Sr  0.6887  0.9370  0.3848  8 O 2.65-2.93
Sr  0.3059  0.5588  0.6191  10 O 2.66-2.92
Sr  0.4393  0.6986  0.3855  8 O 2.63-2.82
Sr  0.0557  0.3094  0.6190  10 O 2.67-2.96
Sr  0.4376  0.1890  0.8810  9 O 2.59-2.88
Sr  0.4434  0.1973  0.3883  8 O 2.61-2.84
Sr  0.9380  0.1893  0.8822  9 O 2.61-2.92
Sr  0.1896  0.4392  0.3848  8 O 2.63-2.92
Sr  0.5574  0.8025  0.1153  8 O 2.57-2.87
Sr  0.5582  0.3033  0.1133  7 O 2.55-2.78
Sr  0.6886  0.4407  0.8824  9 O 2.62-2.87
Sr  0.9377  0.1926  0.3854  7 O 2.59-2.88
Sr  0.0590  0.3040  0.1165  6 O 2.51-2.76
Sr  0.1870  0.9404  0.8796  9 O 2.60-2.89
Sr  0.8048  0.5633  0.1169  7 O 2.53-2.82
Ti  0.2486  0.7508  0.9994  6 O 1.98-2.09
Ti  0.3752  0.3842  0.7515  4 O 1.90-1.96
Ti  0.4996  0.9988  0.9999  6 O 1.99-2.05
Ti  0.4977  0.5013  0.5011  6 O 1.98-2.13
Ti  0.4986  0.4981  0.9999  6 O 2.00-2.02
Ti  0.9981  0.0007  0.5003  6 O 1.98-2.08
Ti  0.1247  0.6173  0.7502  4 O 1.90-1.95
Ti  0.6183  0.1170  0.7511  4 O 1.90-1.95
Ti  0.8677  0.8830  0.7512  4 O 1.90-1.96
Ti  0.6255  0.6171  0.7512  4 O 1.90-1.95
Ti  0.2481  0.2495  0.5015  6 O 1.98-2.15
Ti  0.4986  0.0023  0.5018  6 O 1.97-2.12
Ti  0.8648  0.3866  0.2489  4 O 1.90-1.92
Ti  0.3665  0.8834  0.7508  4 O 1.90-1.96
Ti  0.6075  0.1131  0.2482  4 O 1.90-1.96
Ti  0.1071  0.0966  0.2455  4 O 1.87-1.92
Ti  0.8592  0.8924  0.2482  4 O 1.89-2.00
Ti  0.9974  0.4995  0.4999  6 O 1.99-2.08
Ti  0.2478  0.7494  0.5005  6 O 1.99-2.08
Ti  0.1167  0.1177  0.7508  4 O 1.90-1.96
Ti  0.3588  0.8923  0.2459  4 O 1.90-1.95
Ti  0.9996  0.4993  0.0013  6 O 1.99-2.08
Ti  0.7469  0.2495  0.5014  6 O 1.97-2.09
Ti  0.1158  0.6123  0.2486  4 O 1.90-1.93
Ti  0.0012  0.9985  0.0019  6 O 1.98-2.08
Ti  0.7499  0.2490  0.9997  6 O 1.99-2.11
Ti  0.2489  0.2510  0.9997  6 O 1.97-2.15
Ti  0.7470  0.7485  0.5000  6 O 1.98-2.05
Ti  0.8754  0.3828  0.7512  4 O 1.90-1.96
Ti  0.7509  0.7517  0.0017  6 O 1.99-2.05
Ti  0.3692  0.3965  0.2474  4 O 1.89-1.91
Ti  0.6123  0.6140  0.2483  4 O 1.92-1.93
Ca  0.3081  0.5634  0.1049  6 O 2.39-2.63
Ca  0.0593  0.7911  0.1043  6 O 2.40-2.60
Ca  0.8008  0.0578  0.1049  6 O 2.42-2.61
Ca  0.3048  0.0597  0.1027  6 O 2.39-2.60

Calculated values
The total magnetization is 2.41 μB per formula unit. The total energy is -7.772 eV per atom.

***

[2]
A plane-wave DFT calculation with PBE-GGA was carried out for an optimized crystal structure of Sr3CaTi4O12.

Cell lengths 5.5471, 5.5471, 9.5993 Å; angles 73.39, 73.39, 60.25 degrees
Closest atoms and distances in Å follow each position.
Atoms (fractional coordinates):
Ti  0.9965  0.7524  0.8767  6 O 1.96-2.00
Ti  0.7482  0.5012  0.6269  6 O 1.96-1.99
Ti  0.2476  0.0035  0.1233  6 O 1.96-2.00
Ti  0.4988  0.2518  0.3731  6 O 1.96-1.99
O  0.0597  0.9403  0.0000  2 Ti 1.98
O  0.3700  0.6098  0.2350  2 Ti 1.96-2.00
O  0.8880  0.1317  0.2603  2 Ti 1.96-1.98
O  0.8683  0.1120  0.7397  2 Ti 1.96-1.98
O  0.6159  0.8443  0.9902  2 Ti 1.96-1.99
O  0.6324  0.8820  0.5092  2 Ti 1.96-1.99
O  0.1180  0.3676  0.4908  2 Ti 1.96-1.99
O  0.1557  0.3841  0.0098  2 Ti 1.96-1.99
O  0.9137  0.5851  0.7517  2 Ti 1.97
O  0.4149  0.0863  0.2483  2 Ti 1.97
O  0.5896  0.4104  0.5000  2 Ti 1.98
O  0.3902  0.6300  0.7650  2 Ti 1.96-2.00
Ca  0.6200  0.3800  0.0000  5 O 2.45-2.60
Sr  0.8742  0.6264  0.2494  7 O 2.56-2.79
Sr  0.3736  0.1258  0.7506  7 O 2.56-2.79
Sr  0.1247  0.8753  0.5000  9 O 2.59-2.86

Calculated values
The total magnetization is 0.00 μB per formula unit. The total energy is -8.033 eV per atom.

***

[3]
A plane-wave DFT calculation with PBE-GGA was carried out for an optimized crystal structure of SrCaTi2O6.

Cell lengths 5.5247, 5.5290, 7.8139 Å; angles 90.00, 90.00, 90.00 degrees
Closest atoms and distances in Å follow each position.
Atoms (fractional coordinates):
Sr  0.7456  0.4853  0.5000  8 O 2.55-2.82
Sr  0.2544  0.9853  0.5000  8 O 2.55-2.82
O  0.0252  0.7764  0.2142  2 Ti 1.98-1.99
O  0.9748  0.2764  0.2142  2 Ti 1.98-1.99
O  0.5235  0.7269  0.7299  2 Ti 1.96-1.97
O  0.6860  0.9901  0.0000  2 Ti 1.95
O  0.9748  0.2764  0.7858  2 Ti 1.98-1.99
O  0.3140  0.4901  0.0000  2 Ti 1.95
O  0.7932  0.0032  0.5000  2 Ti 2.01
O  0.2068  0.5032  0.5000  2 Ti 2.01
O  0.4765  0.2269  0.2701  2 Ti 1.96-1.97
O  0.4765  0.2269  0.7299  2 Ti 1.96-1.97
O  0.0252  0.7764  0.7858  2 Ti 1.98-1.99
O  0.5235  0.7269  0.2701  2 Ti 1.96-1.97
Ti  0.7486  0.9987  0.2451  6 O 1.95-2.01
Ti  0.7486  0.9987  0.7549  6 O 1.95-2.01
Ti  0.2514  0.4987  0.7549  6 O 1.95-2.01
Ti  0.2514  0.4987  0.2451  6 O 1.95-2.01
Ca  0.2484  0.0174  0.0000  6 O 2.42-2.67
Ca  0.7516  0.5174  0.0000  6 O 2.42-2.67

Calculated values
The total magnetization is 0.00 μB per formula unit. As for the energy relative to the lowest polymorph listed for this composition: 0 meV/atom. The total energy is -8.046 eV per atom.

***

[4]
A plane-wave DFT calculation with PBE-GGA was carried out for an optimized crystal structure of SrCaTi2O6.

Cell lengths 5.5447, 5.5447, 7.7864 Å; angles 90.00, 90.00, 90.72 degrees
Closest atoms and distances in Å follow each position.
Atoms (fractional coordinates):
O  0.7501  0.7501  0.0000  2 Ti 1.97
O  0.2499  0.2499  0.5000  2 Ti 1.97
O  0.9531  0.4636  0.2500  2 Ti 1.97
O  0.2499  0.2499  0.0000  2 Ti 1.97
O  0.7501  0.7501  0.5000  2 Ti 1.97
O  0.2553  0.7447  0.0417  2 Ti 1.98
O  0.7447  0.2553  0.5417  2 Ti 1.98
O  0.7447  0.2553  0.9583  2 Ti 1.98
O  0.4636  0.9531  0.7500  2 Ti 1.97
O  0.5364  0.0469  0.2500  2 Ti 1.97
O  0.2553  0.7447  0.4583  2 Ti 1.98
O  0.0469  0.5364  0.7500  2 Ti 1.97
Ti  0.0000  0.5000  0.5000  6 O 1.97-1.98
Ti  0.5000  0.0000  0.5000  6 O 1.97-1.98
Ti  0.0000  0.5000  0.0000  6 O 1.97-1.98
Ti  0.5000  0.0000  0.0000  6 O 1.97-1.98
Ca  0.5016  0.4984  0.2500  8 O 2.51-2.75
Ca  0.4984  0.5016  0.7500  8 O 2.51-2.75
Sr  0.0017  0.9983  0.2500  8 O 2.58-2.75
Sr  0.9983  0.0017  0.7500  8 O 2.58-2.75

Calculated values
The total magnetization is 0.00 μB per formula unit. As for the energy relative to the lowest polymorph listed for this composition: 5 meV/atom. The total energy is -8.041 eV per atom.

***

[5]
A plane-wave DFT calculation with PBE-GGA was carried out for an optimized crystal structure of SrCa3Ti4O12.

Cell lengths 7.7622, 5.4688, 5.5087 Å; angles 89.87, 90.00, 90.00 degrees
Closest atoms and distances in Å follow each position.
Atoms (fractional coordinates):
Ca  0.0000  0.5057  0.4638  8 O 2.39-2.66
Ca  0.5000  0.0050  0.0341  4 O 2.39-2.48
Ca  0.0000  0.9985  0.9701  4 O 2.38-2.49
Ti  0.2478  0.0023  0.5024  6 O 1.96-2.01
Ti  0.7525  0.5021  0.9988  6 O 1.96-2.00
Ti  0.2475  0.5021  0.9988  6 O 1.96-2.00
Ti  0.7522  0.0023  0.5024  6 O 1.96-2.01
O  0.7143  0.2085  0.7900  2 Ti 1.97-2.00
O  0.7890  0.7827  0.2153  2 Ti 1.97-2.01
O  0.2857  0.2085  0.7900  2 Ti 1.97-2.00
O  0.5000  0.9493  0.4805  2 Ti 1.98
O  0.0000  0.0728  0.5233  2 Ti 1.97
O  0.2124  0.7108  0.7119  2 Ti 1.97-1.99
O  0.5000  0.5694  0.9970  2 Ti 1.99
O  0.2737  0.2800  0.2813  2 Ti 1.96-1.98
O  0.7876  0.7108  0.7119  2 Ti 1.97-1.99
O  0.0000  0.4311  0.0092  2 Ti 1.96
O  0.7263  0.2800  0.2813  2 Ti 1.96-1.98
O  0.2110  0.7827  0.2153  2 Ti 1.97-2.01
Sr  0.5000  0.4954  0.5228  8 O 2.49-2.73

Calculated values
The total magnetization is 0.00 μB per formula unit. The total energy is -8.067 eV per atom.

***

[6]
A plane-wave DFT calculation with PBE-GGA was carried out for an optimized crystal structure of SrCaZrTiO6.

Cell lengths 5.7239, 5.7239, 5.7239 Å; angles 60.00, 60.00, 60.00 degrees
Closest atoms and distances in Å follow each position.
Atoms (fractional coordinates):
O  0.7579  0.2421  0.2421  1 Ti 1.96, 1 Zr 2.09
O  0.7579  0.2421  0.7579  1 Ti 1.96, 1 Zr 2.09
O  0.2421  0.7579  0.7579  1 Ti 1.96, 1 Zr 2.09
O  0.2421  0.7579  0.2421  1 Ti 1.96, 1 Zr 2.09
O  0.7579  0.7579  0.2421  1 Ti 1.96, 1 Zr 2.09
O  0.2421  0.2421  0.7579  1 Ti 1.96, 1 Zr 2.09
Sr  0.7500  0.7500  0.7500  12 O 2.86
Ti  0.0000  0.0000  0.0000  6 O 1.96
Zr  0.5000  0.5000  0.5000  6 O 2.09
Ca  0.2500  0.2500  0.2500  12 O 2.86

Calculated values
The total magnetization is 0.00 μB per formula unit. The total energy is -8.097 eV per atom.